Entry from Materials Project: crystalline Mg6CoSi at its relaxed geometry (GGA-PBE).

Values from the calculation:
DFT total energy	-0.196	Ry/atom
ΔE_f	115	meV per atom
relative energy among the computed polymorphs	0.000	eV per formula unit

```
Mg6CoSi
1.0
4.590 0.000 0.000
0.000 6.200 0.000
0.000 0.000 10.498
Mg Co Si
12 2 2
Cartesian
0.000 3.100 8.788 Mg
0.000 0.000 3.539 Mg
0.000 1.627 0.988 Mg
0.000 1.473 6.237 Mg
2.295 3.100 6.984 Mg
2.295 4.753 9.521 Mg
2.295 1.447 9.521 Mg
0.000 4.574 0.988 Mg
0.000 4.727 6.237 Mg
2.295 1.653 4.272 Mg
2.295 0.000 1.735 Mg
2.295 4.547 4.272 Mg
0.000 3.100 3.259 Co
0.000 0.000 8.507 Co
2.295 0.000 7.192 Si
2.295 3.100 1.943 Si
```

Entry from Materials Project: crystalline KTiF4 at its relaxed geometry (GGA-PBE).

Values from the calculation:
DFT total energy	-0.437	Ry/atom
ΔE_f	-3478	meV per atom
relative energy among the computed polymorphs	0.123	eV per formula unit

```
KTiF4
1.0
-2.567 -7.382 1.924
1.724 -2.676 -7.966
11.521 -3.087 3.529
Ti F K
8 32 8
Cartesian
8.035 -11.284 -3.180 Ti
3.307 -2.892 -2.402 Ti
2.643 -1.861 0.667 Ti
1.379 -5.557 1.635 Ti
9.298 -7.588 -4.148 Ti
2.043 -6.588 -1.434 Ti
7.371 -10.253 -0.110 Ti
8.634 -6.556 -1.079 Ti
2.692 -3.830 -6.704 F
0.837 -6.523 -2.916 F
5.086 -8.596 3.319 F
6.364 -4.845 2.339 F
2.844 -6.414 0.460 F
8.599 -10.267 1.356 F
1.818 -2.105 -1.209 F
9.324 -4.711 -1.495 F
5.591 -4.548 -5.832 F
7.986 -9.315 4.192 F
7.833 -6.730 -2.973 F
0.669 -7.371 2.146 F
2.733 -4.768 -1.951 F
4.314 -8.299 -4.852 F
8.628 -9.439 -3.725 F
0.589 -5.736 -0.255 F
3.700 -7.346 -2.016 F
1.449 -7.473 -5.745 F
8.860 -11.040 -1.303 F
7.944 -8.376 -0.562 F
9.840 -6.622 0.403 F
6.977 -5.798 -0.497 F
4.979 -3.598 -3.003 F
5.698 -9.547 0.490 F
9.228 -5.671 3.232 F
4.120 -2.647 -0.529 F
6.557 -10.497 -1.984 F
2.049 -3.706 1.213 F
10.008 -5.774 -4.658 F
10.089 -7.409 -2.257 F
1.354 -8.433 -1.018 F
2.078 -2.877 -3.868 F
5.407 -6.148 -3.694 K
-0.278 -8.660 -4.080 K
0.953 -4.963 -5.055 K
5.271 -6.996 1.181 K
9.724 -8.181 2.543 K
10.956 -4.484 1.567 K
6.507 -3.285 0.202 K
4.171 -9.860 -2.714 K
```

Entry from Materials Project: crystalline Li3Nd2Sb3 at its relaxed geometry (GGA-PBE).

Values from the calculation:
DFT total energy	-0.246	Ry/atom
ΔE_f	34	meV per atom

```
Li3Nd2Sb3
1.0
-2.617 1.874 -0.068
-1.864 -2.613 -0.245
-1.442 -1.161 23.403
Nd Sb Li
2 3 3
Cartesian
-3.309 -1.230 17.183 Nd
-2.614 -0.671 5.908 Nd
-3.123 -1.080 14.156 Sb
-2.801 -0.821 8.935 Sb
-2.241 -0.370 -0.156 Sb
-2.962 -0.950 11.545 Li
-2.411 -0.507 2.612 Li
-3.512 -1.393 20.478 Li
```

Entry from Materials Project: crystalline ThNi5 at its relaxed geometry (GGA-PBE).

Values from the calculation:
DFT total energy	-0.475	Ry/atom
ΔE_f	-408	meV per atom

```
ThNi5
1.0
0.949 1.198 4.680
-2.131 -4.311 -1.054
3.605 -1.710 -0.294
Ni Th
5 1
Cartesian
-0.078 -0.639 2.769 Ni
0.737 -3.011 -0.674 Ni
-1.104 -2.475 0.857 Ni
1.211 -2.412 1.666 Ni
2.277 -0.256 2.193 Ni
0.000 0.000 0.000 Th
```

Entry from Materials Project: crystalline TaMo2W2Se10 at its relaxed geometry (GGA-PBE).

Values from the calculation:
DFT total energy	-0.510	Ry/atom
ΔE_f	-957	meV per atom

```
TaMo2W2Se10
1.0
2.300 -0.289 2.428
-2.427 2.306 0.253
-39.152 -44.690 31.758
Se W Mo Ta
20 4 4 2
Cartesian
-0.267 -0.555 2.507 Se
-23.351 -24.241 19.229 Se
-39.013 -42.118 31.932 Se
-8.093 -9.489 8.856 Se
-23.754 -27.365 21.559 Se
-15.925 -18.428 15.208 Se
-21.419 -22.036 17.661 Se
-15.554 -15.342 12.904 Se
-2.199 -2.761 4.074 Se
-29.250 -30.974 24.013 Se
-25.695 -29.581 23.133 Se
-33.526 -38.518 29.485 Se
-31.182 -33.179 25.580 Se
-37.081 -39.913 30.365 Se
-31.585 -36.303 27.910 Se
-5.723 -4.120 4.930 Se
-17.866 -20.643 16.782 Se
-10.034 -11.704 10.430 Se
-13.555 -13.060 11.282 Se
-7.724 -6.404 6.552 Se
-10.640 -9.732 8.918 W
-18.470 -18.670 15.269 W
-26.300 -27.608 21.621 W
-34.131 -36.546 27.972 W
-28.640 -32.942 25.522 Mo
-20.810 -24.004 19.170 Mo
-2.809 -0.793 2.565 Mo
-36.471 -41.880 31.874 Mo
-5.148 -6.127 6.466 Ta
-12.979 -15.066 12.818 Ta
```

Entry from Materials Project: crystalline NiSe at its relaxed geometry (GGA-PBE).

Values from the calculation:
DFT total energy	-0.362	Ry/atom
ΔE_f	-523	meV per atom

```
NiSe
1.0
3.094 -5.001 0.000
3.094 5.001 0.000
-4.989 0.000 3.112
Ni Se
3 3
Cartesian
0.801 -1.280 0.024 Ni
-1.268 0.000 0.820 Ni
0.801 1.280 0.024 Ni
-0.183 -1.699 2.254 Se
-0.183 1.699 2.254 Se
2.563 0.000 1.197 Se
```

Entry from Materials Project: crystalline ErAlNi at its relaxed geometry (GGA-PBE).

Values from the calculation:
DFT total energy	-0.385	Ry/atom
ΔE_f	-536	meV per atom

```
ErAlNi
1.0
2.684 -4.592 0.000
2.684 4.592 0.000
0.000 0.000 8.464
Er Ni Al
4 4 4
Cartesian
2.684 -1.536 2.504 Er
2.684 -1.536 5.960 Er
2.684 1.560 1.489 Er
2.684 1.560 6.974 Er
2.684 -3.059 0.000 Ni
1.357 -0.773 0.000 Ni
4.012 -0.773 0.000 Ni
2.684 3.051 4.232 Ni
4.001 0.793 4.232 Al
2.684 4.552 2.011 Al
1.368 0.793 4.232 Al
2.684 4.552 6.453 Al
```

Entry from Materials Project: crystalline MgZn2Bi3O8 at its relaxed geometry (GGA-PBE).

Values from the calculation:
DFT total energy	-0.381	Ry/atom
ΔE_f	-1623	meV per atom
relative energy among the computed polymorphs	2.484	eV per formula unit

```
MgZn2Bi3O8
1.0
-4.994 1.277 -3.007
2.601 -3.089 -5.636
0.532 -4.417 6.940
O Bi Zn Mg
8 3 2 1
Cartesian
-1.596 -3.402 2.996 O
0.343 -1.356 0.869 O
-0.372 -2.741 -4.703 O
1.385 -4.737 3.353 O
-0.407 -4.768 0.666 O
-1.402 -1.483 -2.241 O
-2.186 -4.901 -2.623 O
-3.309 -1.416 -4.915 O
0.669 -0.800 -1.451 Bi
-2.587 -5.361 -0.126 Bi
0.036 -2.370 -6.992 Bi
-1.409 -3.264 -3.077 Zn
-0.490 -2.926 1.442 Zn
-0.701 -5.276 2.703 Mg
```